32
Lattice="3.019 0.000 0.000 -0.520 9.962 0.000 -0.825 -4.553 9.669" Properties=species:S:1:pos:R:3 comment="Li9Mn2Co5O16, relaxed, DFT PBE+U" sg=P1 formation_energy_ev_per_atom=-1.788 energy_ev_per_cell=-184.91 pbc="T T T"
Li 0.354 -0.317 7.164
Li 1.973 -2.807 7.221
Li 1.735 2.188 7.239
Li -0.043 3.205 2.420
Li -0.309 8.195 2.476
Li 1.788 -1.032 4.830
Li 0.086 4.675 7.225
Li 1.314 5.725 2.453
Li 1.596 0.760 2.474
O 0.155 0.041 3.717
O 1.872 -1.180 8.546
O 0.393 -2.096 5.946
O 0.082 2.996 5.896
O 1.471 2.394 3.734
O -0.053 4.913 3.766
O 1.610 3.805 8.560
O 1.258 7.252 3.728
O 1.431 4.058 1.117
O 1.167 9.042 1.133
O 0.056 1.618 1.097
O 0.509 -3.638 8.563
O -0.205 6.592 1.098
O 1.585 5.501 5.942
O 0.251 1.351 8.562
O 1.796 0.645 5.951
Mn -0.520 9.959 0.007
Mn 1.934 0.431 9.662
Co 1.123 7.472 0.009
Co 0.152 1.369 4.854
Co 0.555 -2.061 9.662
Co 1.528 3.950 4.831
Co -0.117 6.532 4.822

***

19
Lattice="3.186 0.000 0.000 0.000 8.082 -0.021 -0.001 -0.024 10.344" Properties=species:S:1:pos:R:3 comment="MgZn4Fe4O10, relaxed, DFT PBE+U" sg=Pm formation_energy_ev_per_atom=-1.623 energy_ev_per_cell=-104.95 pbc="T T T"
O 3.185 5.567 2.179
O 3.185 2.991 8.019
O 0.001 7.768 0.386
O 1.593 2.814 0.594
O 1.592 6.722 4.558
O 1.592 1.371 5.831
O -0.001 3.887 4.951
O 3.184 0.648 2.814
O 1.592 5.391 9.759
O -0.001 6.995 7.424
Zn 1.592 4.575 1.365
Zn 1.592 7.474 6.504
Zn 1.592 3.489 8.975
Zn 1.592 0.735 3.971
Mg 1.594 7.264 1.614
Fe 3.185 5.599 4.213
Fe 0.000 1.608 0.916
Fe 3.185 2.546 6.181
Fe -0.001 6.470 9.248

***

84
Lattice="9.245 0.000 0.000 0.000 11.524 0.000 0.000 0.000 12.683" Properties=species:S:1:pos:R:3 comment="Rb2TeMo2P2O14, relaxed, DFT PBE+U" sg=Pbcn formation_energy_ev_per_atom=-2.264 energy_ev_per_cell=-553.66 pbc="T T T"
O 5.940 4.237 8.013
O 2.887 1.768 4.290
O 7.061 3.952 5.421
O 6.806 7.573 11.763
O 9.052 10.966 1.746
O 4.815 0.559 8.087
O 2.183 9.714 5.421
O 3.305 9.999 8.013
O 4.039 6.255 1.403
O 8.661 6.255 4.939
O 2.550 5.208 3.441
O 1.318 4.237 11.012
O 2.072 10.970 2.901
O 6.555 6.377 6.755
O 4.430 10.966 4.596
O 7.173 5.208 2.901
O 2.690 0.614 6.755
O 2.439 1.810 11.763
O 2.183 7.573 7.262
O 1.736 9.756 10.632
O 5.206 0.493 1.403
O 1.736 7.530 2.051
O 7.509 3.994 10.632
O 2.439 3.952 0.920
O 6.358 7.530 4.290
O 0.193 0.559 10.937
O 7.173 0.554 9.782
O 7.509 1.768 2.051
O 9.052 6.321 10.937
O 7.061 1.810 7.262
O 5.206 5.269 11.280
O 1.933 6.377 12.270
O 8.661 11.031 7.744
O 6.358 9.756 8.393
O 4.815 5.204 4.596
O 2.887 3.994 8.393
O 0.584 0.493 4.939
O 6.694 10.970 3.441
O 4.039 11.031 11.280
O 3.305 7.288 4.670
O 7.927 7.288 1.671
O 0.584 5.269 7.744
O 6.555 10.910 5.928
O 2.072 6.316 9.782
O 7.312 0.614 12.270
O 2.550 0.554 9.242
O 6.806 9.714 0.920
O 0.193 5.204 1.746
O 2.690 5.148 5.928
O 4.430 6.321 8.087
O 7.312 5.148 0.413
O 6.694 6.316 9.242
O 1.933 10.910 0.413
O 1.318 1.525 1.671
O 7.927 9.999 11.012
O 5.940 1.525 4.670
Mo 2.292 5.550 7.876
Mo 6.914 5.550 11.149
Mo 2.330 5.975 1.534
Mo 2.292 0.212 4.807
Mo 6.914 0.212 1.534
Mo 6.953 11.312 7.876
Mo 2.330 11.312 11.149
Mo 6.953 5.975 4.807
P 3.375 0.027 8.020
P 7.997 0.027 11.005
P 5.870 5.789 8.020
P 3.375 5.735 4.663
P 5.870 11.497 4.663
P 1.248 5.789 11.005
P 1.248 11.497 1.678
P 7.997 5.735 1.678
Rb 8.955 9.018 4.018
Rb 4.912 3.256 2.323
Rb 8.955 8.268 8.665
Rb 4.912 2.506 10.360
Rb 4.333 8.268 10.360
Rb 0.290 2.506 8.665
Rb 0.290 3.256 4.018
Rb 4.333 9.018 2.323
Te 1.183 2.881 0.000
Te 3.439 8.643 6.342
Te 5.805 2.881 6.342
Te 8.062 8.643 0.000

***

20
Lattice="5.328 0.000 0.000 0.000 5.373 0.000 0.000 0.000 7.713" Properties=species:S:1:pos:R:3 comment="PrZnCo2O6, relaxed, DFT PBE+U" sg=Pmn2_1 formation_energy_ev_per_atom=-1.828 energy_ev_per_cell=-121.66 pbc="T T T"
Pr 0.024 3.830 0.000
Pr 2.687 1.543 3.856
O 1.152 5.352 1.489
O 3.815 0.021 2.368
O 4.393 2.875 5.324
O 4.393 2.875 2.389
O 1.729 2.499 6.245
O 4.600 1.480 0.000
O 0.413 1.007 3.856
O 1.152 5.352 6.224
O 1.729 2.499 1.467
O 3.077 4.367 0.000
O 3.815 0.021 5.345
O 1.936 3.894 3.856
Co 2.640 4.057 1.929
Co 5.304 1.317 5.785
Co 2.640 4.057 5.784
Co 5.304 1.317 1.927
Zn 5.229 4.260 3.856
Zn 2.565 1.114 0.000

***

156
Lattice="10.936 -0.002 -0.032 -0.003 15.459 -0.016 -0.032 -0.011 10.824" Properties=species:S:1:pos:R:3 comment="SrCa7Ti2Mn6O23, relaxed, DFT PBE+U" sg=P1 formation_energy_ev_per_atom=-2.764 energy_ev_per_cell=-1129.20 pbc="T T T"
O 8.187 1.891 0.349
O 5.539 13.472 3.222
O 8.236 13.491 10.364
O 4.335 3.418 4.021
O 9.799 11.291 4.246
O 9.820 3.610 9.713
O 6.595 15.227 0.979
O 0.092 13.492 8.534
O 8.259 5.805 4.957
O 2.837 13.568 10.446
O 1.166 15.217 1.146
O 1.105 15.072 6.598
O 3.893 15.352 1.678
O 6.635 11.945 1.149
O 10.776 1.902 7.822
O 6.714 7.518 1.188
O 2.870 5.796 5.135
O 1.572 3.772 3.724
O 7.055 11.255 3.803
O 9.380 7.459 1.529
O 5.396 1.916 7.739
O 7.056 8.041 3.823
O 9.357 11.921 6.946
O 5.527 13.497 8.456
O 1.590 11.294 9.210
O 4.282 0.331 9.677
O 7.075 3.564 9.192
O 4.266 7.980 9.635
O 5.442 5.857 3.011
O 6.499 3.896 1.123
O 9.754 0.194 9.692
O 3.882 15.162 6.923
O 9.351 7.382 6.951
O 8.105 9.694 0.366
O 9.305 4.181 6.982
O 1.134 7.413 6.545
O 10.778 9.655 7.640
O 2.604 9.746 0.395
O 9.783 8.009 9.658
O 8.220 13.494 4.969
O 9.331 15.138 6.925
O 9.746 3.641 4.285
O 1.503 0.072 3.923
O 6.630 7.467 6.519
O 2.714 5.509 0.117
O 9.785 11.277 9.659
O 0.106 5.802 8.503
O 1.112 4.093 6.447
O 6.528 15.143 6.451
O 1.589 8.067 3.818
O 8.126 9.646 5.794
O 4.303 11.290 9.688
O 10.904 1.992 2.332
O 1.585 7.973 9.205
O 9.323 15.134 1.500
O 8.165 5.805 10.447
O 3.903 11.954 1.551
O 1.156 11.940 6.522
O 6.539 4.150 6.421
O 3.877 11.879 6.948
O 9.807 8.010 4.252
O 9.440 4.201 1.486
O 4.410 3.537 9.686
O 7.154 3.411 3.827
O 7.024 11.265 9.231
O 4.294 8.063 4.263
O 6.637 11.835 6.550
O 1.113 7.503 1.114
O 1.622 3.555 9.043
O 1.156 11.933 1.124
O 0.077 5.835 2.995
O 2.457 2.292 0.572
O 10.786 9.674 2.233
O 5.342 9.658 7.692
O 0.046 13.470 3.056
O 4.316 11.208 4.275
O 9.628 0.223 4.154
O 9.372 11.897 1.523
O 1.602 11.289 3.792
O 7.070 0.287 9.165
O 2.551 9.680 5.858
O 2.941 13.526 4.944
O 6.807 0.456 3.839
O 5.376 9.717 2.245
O 7.011 8.019 9.232
O 3.953 7.589 1.505
O 8.143 1.941 5.818
O 3.870 7.475 6.937
O 2.744 1.801 5.575
O 5.508 5.802 8.326
O 1.571 0.343 9.312
O 3.846 4.040 6.949
Mn 8.103 15.437 5.368
Mn 5.475 7.824 2.690
Mn -0.003 7.783 2.692
Mn 8.194 7.751 5.388
Mn 2.727 7.818 5.413
Mn 5.471 15.419 8.074
Mn 8.184 11.557 5.378
Mn 2.735 11.552 5.387
Mn 8.148 3.886 5.414
Mn 5.451 11.547 8.106
Mn 5.553 15.220 2.585
Mn 2.731 11.561 0.016
Mn 8.196 11.578 -0.033
Mn 8.209 3.860 -0.016
Mn 5.445 7.769 8.075
Mn 8.145 15.393 10.761
Mn -0.022 7.764 8.110
Mn -0.019 11.559 8.116
Mn 5.492 3.870 8.039
Mn -0.007 11.542 2.697
Mn 5.672 3.982 2.840
Mn 2.727 7.795 0.005
Mn 8.199 7.793 -0.029
Mn 5.454 11.561 2.695
Sr 5.397 5.891 10.767
Sr 2.622 5.973 2.709
Sr 2.694 1.832 2.861
Sr 0.045 1.852 5.451
Ca 5.849 1.871 10.505
Ca 8.407 9.651 2.708
Ca 5.734 9.648 5.357
Ca 0.083 1.796 10.791
Ca 10.581 6.009 -0.027
Ca 5.265 5.955 5.484
Ca 2.479 13.426 2.642
Ca 2.990 9.679 2.734
Ca 8.027 5.981 2.637
Ca 10.641 5.929 5.414
Ca 2.502 13.341 8.097
Ca 3.015 1.805 7.975
Ca 5.289 13.386 10.756
Ca 0.193 9.661 10.771
Ca 7.910 5.879 8.051
Ca 2.467 5.964 7.962
Ca 2.967 9.653 8.182
Ca 5.671 9.645 10.736
Ca 8.433 1.816 2.682
Ca 8.357 1.925 8.125
Ca 10.583 13.398 5.408
Ca 10.640 13.416 0.004
Ca 7.913 13.445 8.024
Ca 8.004 13.363 2.645
Ca 8.394 9.660 8.132
Ca 5.764 2.033 5.461
Ca 5.282 13.342 5.539
Ca 0.198 9.666 5.356
Ti 10.862 15.321 2.640
Ti 2.671 3.946 5.440
Ti 10.782 15.379 8.154
Ti 10.768 3.901 2.845
Ti 2.765 3.763 10.401
Ti 2.710 15.356 10.738
Ti 2.527 15.283 5.546
Ti 10.786 3.911 8.094

***

20
Lattice="-4.101 1.732 2.522 -2.493 -4.845 -0.723 2.564 -3.121 6.327" Properties=species:S:1:pos:R:3 comment="VCrO3, relaxed, DFT PBE+U" sg=P1 formation_energy_ev_per_atom=-2.439 energy_ev_per_cell=-160.07 pbc="T T T"
O -2.044 -3.013 7.594
O -2.008 -3.221 0.546
O -3.568 -3.535 5.446
O -1.566 -0.446 1.411
O -2.647 0.601 3.614
O -0.466 -2.688 2.664
O -3.470 -2.013 2.984
O -1.507 -1.468 5.321
O -0.552 -4.217 5.134
O -1.369 -6.837 4.508
O -2.521 -4.772 2.793
O -2.459 -5.789 6.739
V -4.465 -0.191 3.249
V -0.364 -2.761 6.496
V -2.373 -5.004 4.785
V -3.668 -4.327 7.396
Cr -3.181 -1.751 6.410
Cr -1.653 -1.202 3.336
Cr -0.850 -4.476 1.704
Cr -3.666 -3.503 1.649